Record 1
The following is a PBE calculation of a relaxed Pm2MgSe4 crystal, from the Materials Project database.

Results
- Symmetry: P-1 (2)
- Calculated total energy: -142.045 eV/cell
- Formation energy: -1.759 eV/atom
- Relative energy among the computed polymorphs: 182 meV per atom
- Total magnetization: 0.00 μB/atom

Unit cell a=7.6705 b=8.9104 c=13.9094 alpha=99.45 beta=95.64 gamma=90.01
Last column: nearest neighbours and their distance in Å.
Fractional coordinates of all 28 atoms:
Pm 0.1316 0.4434 0.3021  4 Se 2.77-2.80
Pm 0.1336 0.9578 0.3060  4 Se 2.78-2.80
Pm 0.2578 0.1290 0.0008  6 Se 2.96-3.03
Pm 0.3654 0.3004 0.6960  4 Se 2.77-2.81
Pm 0.6346 0.6996 0.3040  4 Se 2.77-2.81
Pm 0.7422 0.8710 0.9992  6 Se 2.96-3.03
Pm 0.8664 0.0422 0.6940  4 Se 2.78-2.80
Pm 0.8684 0.5566 0.6979  4 Se 2.77-2.80
Mg 0.2509 0.6212 0.9947  6 Se 2.81-2.90
Mg 0.3658 0.8001 0.7034  4 Se 2.57-2.62
Mg 0.6342 0.1999 0.2966  4 Se 2.57-2.62
Mg 0.7491 0.3788 0.0053  6 Se 2.81-2.90
Se 0.0919 0.4105 0.0998  2 Pm 2.77-3.00, 2 Mg 2.81-2.90
Se 0.1103 0.8915 0.1030  3 Pm 2.78-3.03, 1 Mg 2.89
Se 0.1970 0.5469 0.6263  1 Mg 2.62, 2 Pm 2.80-2.81
Se 0.1997 0.0162 0.6273  1 Mg 2.62, 2 Pm 2.80-2.81
Se 0.3081 0.7189 0.3796  3 Pm 2.80
Se 0.3376 0.2198 0.3745  1 Mg 2.61, 2 Pm 2.79-2.80
Se 0.3881 0.8408 0.8917  2 Mg 2.57-2.86
Se 0.4111 0.3588 0.8988  2 Pm 2.77-2.98, 2 Mg 2.84-2.85
Se 0.5889 0.6412 0.1012  2 Pm 2.77-2.98, 2 Mg 2.84-2.85
Se 0.6119 0.1592 0.1083  2 Mg 2.57-2.86
Se 0.6624 0.7802 0.6255  1 Mg 2.61, 2 Pm 2.79-2.80
Se 0.6919 0.2811 0.6204  3 Pm 2.80
Se 0.8003 0.9838 0.3727  1 Mg 2.62, 2 Pm 2.80-2.81
Se 0.8030 0.4531 0.3737  1 Mg 2.62, 2 Pm 2.80-2.81
Se 0.8897 0.1085 0.8970  3 Pm 2.78-3.03, 1 Mg 2.89
Se 0.9081 0.5895 0.9002  2 Pm 2.77-3.00, 2 Mg 2.81-2.90

---

Record 2
The following is a PBE calculation of a relaxed ErNi2Ge2 crystal, from the Materials Project database.

Results
- Symmetry: I4/mmm (139)
- Calculated total energy: -28.752 eV/cell
- Formation energy: -0.676 eV/atom

Unit cell a=5.6676 b=5.6676 c=5.6676 alpha=138.19 beta=138.19 gamma=60.62
Last column: nearest neighbours and their distance in Å.
Fractional coordinates of all 5 atoms:
Er 0.0000 0.0000 0.0000  8 Ge 3.12, 8 Ni 3.17
Ni 0.2500 0.7500 0.5000  4 Ge 2.35
Ni 0.7500 0.2500 0.5000  4 Ge 2.35
Ge 0.3724 0.3724 0.0000  4 Ni 2.35, 1 Ge 2.50
Ge 0.6276 0.6276 0.0000  4 Ni 2.35, 1 Ge 2.50

---

Record 3
The following is a PBE calculation of a relaxed LiY4Ge4 crystal, from the Materials Project database.

Results
- Symmetry: Pnma (62)
- Calculated total energy: -215.893 eV/cell
- Formation energy: -0.856 eV/atom

Unit cell a=7.1764 b=14.7494 c=7.7528 alpha=90.00 beta=90.00 gamma=90.00
Last column: nearest neighbours and their distance in Å.
Fractional coordinates of all 36 atoms:
Li 0.1590 0.2500 0.0221  3 Ge 2.71-2.84
Li 0.3410 0.7500 0.5221  3 Ge 2.71-2.84
Li 0.6590 0.2500 0.4779  3 Ge 2.71-2.84
Li 0.8410 0.7500 0.9779  3 Ge 2.71-2.84
Y 0.0148 0.5974 0.6864  6 Ge 2.99-3.13
Y 0.0148 0.9026 0.6864  6 Ge 2.99-3.13
Y 0.1718 0.6280 0.1761  6 Ge 2.87-3.04
Y 0.1718 0.8720 0.1761  6 Ge 2.87-3.04
Y 0.3282 0.1280 0.6761  6 Ge 2.87-3.04
Y 0.3282 0.3720 0.6761  6 Ge 2.87-3.04
Y 0.4852 0.0974 0.1864  6 Ge 2.99-3.13
Y 0.4852 0.4026 0.1864  6 Ge 2.99-3.13
Y 0.5148 0.5974 0.8136  6 Ge 2.99-3.13
Y 0.5148 0.9026 0.8136  6 Ge 2.99-3.13
Y 0.6718 0.6280 0.3239  6 Ge 2.87-3.04
Y 0.6718 0.8720 0.3239  6 Ge 2.87-3.04
Y 0.8282 0.1280 0.8239  6 Ge 2.87-3.04
Y 0.8282 0.3720 0.8239  6 Ge 2.87-3.04
Y 0.9852 0.0974 0.3136  6 Ge 2.99-3.13
Y 0.9852 0.4026 0.3136  6 Ge 2.99-3.13
Ge 0.0182 0.2500 0.5866  1 Ge 2.57, 1 Li 2.71
Ge 0.1663 0.0369 0.9661  1 Ge 2.68, 4 Y 2.87-2.99
Ge 0.1663 0.4631 0.9661  1 Ge 2.68, 4 Y 2.87-2.99
Ge 0.2167 0.7500 0.8636  1 Ge 2.57, 2 Li 2.79-2.84
Ge 0.2833 0.2500 0.3636  1 Ge 2.57, 2 Li 2.79-2.84
Ge 0.3337 0.5369 0.4661  1 Ge 2.68, 4 Y 2.87-2.99
Ge 0.3337 0.9631 0.4661  1 Ge 2.68, 4 Y 2.87-2.99
Ge 0.4818 0.7500 0.0866  1 Ge 2.57, 1 Li 2.71
Ge 0.5182 0.2500 0.9134  1 Ge 2.57, 1 Li 2.71
Ge 0.6663 0.0369 0.5339  1 Ge 2.68, 4 Y 2.87-2.99
Ge 0.6663 0.4631 0.5339  1 Ge 2.68, 4 Y 2.87-2.99
Ge 0.7167 0.7500 0.6364  1 Ge 2.57, 2 Li 2.79-2.84
Ge 0.7833 0.2500 0.1364  1 Ge 2.57, 2 Li 2.79-2.84
Ge 0.8337 0.5369 0.0339  1 Ge 2.68, 4 Y 2.87-2.99
Ge 0.8337 0.9631 0.0339  1 Ge 2.68, 4 Y 2.87-2.99
Ge 0.9818 0.7500 0.4134  1 Ge 2.57, 1 Li 2.71

---

Record 4
The following is a PBE calculation of a relaxed KCuPSe3 crystal, from the Materials Project database.

Results
- Symmetry: P2_1/c (14)
- Calculated total energy: -288.494 eV/cell
- Formation energy: -0.724 eV/atom
- Total magnetization: 0.00 μB/atom

Unit cell a=8.8678 b=10.8339 c=20.2278 alpha=90.00 beta=92.97 gamma=90.00
Last column: nearest neighbours and their distance in Å.
Fractional coordinates of all 72 atoms:
K 0.0222 0.2035 0.0083  7 Se 3.37-3.77
K 0.0222 0.2965 0.5083  7 Se 3.37-3.77
K 0.3056 0.6747 0.2930  7 Se 3.37-3.62, 1 Cu 3.77
K 0.3056 0.8253 0.7930  7 Se 3.37-3.62, 1 Cu 3.77
K 0.3533 0.0085 0.6023  6 Se 3.39-3.67
K 0.3533 0.4915 0.1023  6 Se 3.39-3.67
K 0.6467 0.5085 0.8977  6 Se 3.39-3.67
K 0.6467 0.9915 0.3977  6 Se 3.39-3.67
K 0.6944 0.1747 0.2070  7 Se 3.37-3.62, 1 Cu 3.77
K 0.6944 0.3253 0.7070  7 Se 3.37-3.62, 1 Cu 3.77
K 0.9778 0.7035 0.4917  7 Se 3.37-3.77
K 0.9778 0.7965 0.9917  7 Se 3.37-3.77
Cu 0.0298 0.1419 0.7741  4 Se 2.44-2.53
Cu 0.0298 0.3581 0.2741  4 Se 2.44-2.53
Cu 0.3245 0.5072 0.6367  4 Se 2.42-2.58
Cu 0.3245 0.9928 0.1367  4 Se 2.42-2.58
Cu 0.3647 0.2067 0.8920  4 Se 2.45-2.52
Cu 0.3647 0.2933 0.3920  4 Se 2.45-2.52
Cu 0.6353 0.7067 0.6080  4 Se 2.45-2.52
Cu 0.6353 0.7933 0.1080  4 Se 2.45-2.52
Cu 0.6755 0.0072 0.8633  4 Se 2.42-2.58
Cu 0.6755 0.4928 0.3633  4 Se 2.42-2.58
Cu 0.9702 0.6419 0.7259  4 Se 2.44-2.53
Cu 0.9702 0.8581 0.2259  4 Se 2.44-2.53
P 0.1047 0.0564 0.3565  3 Se 2.22-2.23, 1 P 2.29
P 0.1047 0.4436 0.8565  3 Se 2.22-2.23, 1 P 2.29
P 0.2320 0.0932 0.2628  3 Se 2.22-2.25, 1 P 2.29
P 0.2320 0.4068 0.7628  3 Se 2.22-2.25, 1 P 2.29
P 0.4309 0.5807 0.4783  3 Se 2.21-2.25, 1 P 2.29
P 0.4309 0.9193 0.9783  3 Se 2.21-2.25, 1 P 2.29
P 0.5691 0.0807 0.0217  3 Se 2.21-2.25, 1 P 2.29
P 0.5691 0.4193 0.5217  3 Se 2.21-2.25, 1 P 2.29
P 0.7680 0.5932 0.2372  3 Se 2.22-2.25, 1 P 2.29
P 0.7680 0.9068 0.7372  3 Se 2.22-2.25, 1 P 2.29
P 0.8953 0.5564 0.1435  3 Se 2.22-2.23, 1 P 2.29
P 0.8953 0.9436 0.6435  3 Se 2.22-2.23, 1 P 2.29
Se 0.0289 0.6383 0.8485  1 P 2.22
Se 0.0289 0.8617 0.3485  1 P 2.22
Se 0.0639 0.0493 0.1789  1 P 2.25, 1 Cu 2.44
Se 0.0639 0.4507 0.6789  1 P 2.25, 1 Cu 2.44
Se 0.0787 0.6972 0.1515  1 P 2.23
Se 0.0787 0.8028 0.6515  1 P 2.23
Se 0.2377 0.0091 0.9234  1 P 2.22
Se 0.2377 0.4909 0.4234  1 P 2.22
Se 0.2713 0.0999 0.4392  1 P 2.22, 1 Cu 2.46
Se 0.2713 0.4001 0.9392  1 P 2.22, 1 Cu 2.46
Se 0.2960 0.2075 0.7730  1 P 2.24, 2 Cu 2.45-2.47
Se 0.2960 0.2925 0.2730  1 P 2.24, 2 Cu 2.45-2.47
Se 0.3688 0.6857 0.5688  1 P 2.25, 2 Cu 2.42-2.46
Se 0.3688 0.8143 0.0688  1 P 2.25, 2 Cu 2.42-2.46
Se 0.4168 0.1805 0.0866  1 P 2.21, 1 Cu 2.43
Se 0.4168 0.3195 0.5866  1 P 2.21, 1 Cu 2.43
Se 0.4248 0.5358 0.7570  1 P 2.22
Se 0.4248 0.9642 0.2570  1 P 2.22
Se 0.5752 0.0358 0.7430  1 P 2.22
Se 0.5752 0.4642 0.2430  1 P 2.22
Se 0.5832 0.6805 0.4134  1 P 2.21, 1 Cu 2.43
Se 0.5832 0.8195 0.9134  1 P 2.21, 1 Cu 2.43
Se 0.6312 0.1857 0.9312  1 P 2.25, 2 Cu 2.42-2.46
Se 0.6312 0.3143 0.4312  1 P 2.25, 2 Cu 2.42-2.46
Se 0.7040 0.7075 0.7270  1 P 2.24, 2 Cu 2.45-2.47
Se 0.7040 0.7925 0.2270  1 P 2.24, 2 Cu 2.45-2.47
Se 0.7287 0.5999 0.0608  1 P 2.22, 1 Cu 2.46
Se 0.7287 0.9001 0.5608  1 P 2.22, 1 Cu 2.46
Se 0.7623 0.5091 0.5766  1 P 2.22
Se 0.7623 0.9909 0.0766  1 P 2.22
Se 0.9213 0.1972 0.3485  1 P 2.23
Se 0.9213 0.3028 0.8485  1 P 2.23
Se 0.9361 0.5493 0.3211  1 P 2.25, 1 Cu 2.44
Se 0.9361 0.9507 0.8211  1 P 2.25, 1 Cu 2.44
Se 0.9711 0.1383 0.6515  1 P 2.22
Se 0.9711 0.3617 0.1515  1 P 2.22

---

Record 5
The following is a PBE calculation of a relaxed TbTe3 crystal, from the Materials Project database.

Results
- Symmetry: Cmcm (63)
- Calculated total energy: -35.654 eV/cell
- Formation energy: -1.257 eV/atom

Unit cell a=13.2093 b=13.2093 c=4.3559 alpha=90.00 beta=90.00 gamma=161.02
Last column: nearest neighbours and their distance in Å.
Fractional coordinates of all 8 atoms:
Tb 0.1695 0.8305 0.7500  9 Te 3.23-3.30
Tb 0.8305 0.1695 0.2500  9 Te 3.23-3.30
Te 0.0743 0.9257 0.2500  4 Te 3.08, 2 Tb 3.30
Te 0.2937 0.7063 0.7500  5 Tb 3.23-3.24
Te 0.4256 0.5744 0.2500  4 Te 3.08, 2 Tb 3.30
Te 0.5744 0.4256 0.7500  4 Te 3.08, 2 Tb 3.30
Te 0.7063 0.2937 0.2500  5 Tb 3.23-3.24
Te 0.9257 0.0743 0.7500  4 Te 3.08, 2 Tb 3.30